Material: CoPbO3
Method: DFT, GGA+U
State: optimized geometry

```
20
Lattice="-2.971 4.649 0.220 -5.008 0.209 -2.868 -2.268 -1.858 9.092" Properties=species:S:1:pos:R:3 pbc="T T T"
Co -4.731 3.257 6.191
Co -8.136 1.139 4.909
Co -2.110 1.862 1.535
Co -5.517 -0.257 0.253
Pb -4.592 3.641 -0.387
Pb -4.240 0.388 4.048
Pb -6.007 2.612 2.395
Pb -5.655 -0.640 6.831
O -1.836 -0.200 1.396
O -4.454 1.196 6.051
O -3.772 2.079 2.774
O -3.419 -1.175 7.211
O -2.802 2.416 -0.346
O -2.451 -0.837 4.090
O -7.797 3.838 2.354
O -7.444 0.584 6.790
O -6.828 4.175 -0.767
O -6.476 0.921 3.669
O -5.792 1.805 0.392
O -8.412 3.200 5.049
```

Output
total magnetization	0.000	μB/f.u.

***

Material: CoPbO3
Method: DFT, GGA+U
State: optimized geometry

```
20
Lattice="5.431 0.000 0.000 0.000 7.560 0.000 0.000 0.000 5.326" Properties=species:S:1:pos:R:3 pbc="T T T"
Co 0.000 0.000 0.000
Co 0.000 3.780 0.000
Co 2.715 0.000 2.663
Co 2.715 3.780 2.663
Pb 0.243 1.890 2.604
Pb 2.473 5.670 5.267
Pb 2.958 1.890 0.059
Pb 5.188 5.670 2.722
O 0.143 5.670 0.451
O 1.165 4.121 3.796
O 1.165 7.219 3.796
O 1.550 0.341 1.132
O 1.550 3.439 1.132
O 2.572 1.890 3.114
O 2.858 5.670 2.212
O 3.880 4.121 4.194
O 3.880 7.219 4.194
O 4.266 0.341 1.531
O 4.266 3.439 1.531
O 5.288 1.890 4.876
```

Output
crystal system	orthorhombic
total magnetization	0.425	μB/f.u.

***

Material: CoPbO3
Method: DFT, GGA+U
State: optimized geometry

```
40
Lattice="5.368 0.000 0.000 0.000 10.813 0.000 0.000 0.000 7.647" Properties=species:S:1:pos:R:3 pbc="T T T"
Co 1.294 1.351 1.912
Co 1.294 1.351 5.735
Co 1.390 6.758 1.912
Co 1.390 6.758 5.735
Co 3.978 4.055 1.912
Co 3.978 4.055 5.735
Co 4.073 9.461 1.912
Co 4.073 9.461 5.735
Pb 1.209 3.983 0.000
Pb 1.337 4.121 3.823
Pb 1.347 9.528 3.823
Pb 1.475 9.390 0.000
Pb 3.893 1.423 0.000
Pb 4.021 1.285 3.823
Pb 4.031 6.691 3.823
Pb 4.159 6.829 0.000
O 0.000 0.000 2.329
O 0.000 0.000 5.317
O 0.000 5.406 2.292
O 0.000 5.406 5.354
O 0.099 8.170 1.518
O 0.099 8.170 6.129
O 1.269 1.823 3.823
O 1.312 6.290 0.000
O 1.372 0.884 0.000
O 1.414 7.229 3.823
O 2.585 2.763 1.518
O 2.585 2.763 6.129
O 2.684 0.000 2.292
O 2.684 0.000 5.354
O 2.684 5.406 2.329
O 2.684 5.406 5.317
O 2.783 8.049 1.518
O 2.783 8.049 6.129
O 3.953 3.584 3.823
O 3.996 9.928 0.000
O 4.056 4.522 0.000
O 4.098 8.990 3.823
O 5.269 2.643 1.518
O 5.269 2.643 6.129
```

Output
crystal system	orthorhombic
total magnetization	0.356	μB/f.u.

***

Material: CoRePb2O6
Method: DFT, GGA+U
State: optimized geometry

```
10
Lattice="0.000 4.022 4.022 4.022 0.000 4.022 4.022 4.022 0.000" Properties=species:S:1:pos:R:3 pbc="T T T"
Co 0.000 0.000 0.000
Re 4.022 4.022 4.022
Pb 2.011 2.011 2.011
Pb 6.033 6.033 6.033
O 4.022 4.022 2.100
O 4.022 2.100 4.022
O 5.944 4.022 4.022
O 2.100 4.022 4.022
O 4.022 5.944 4.022
O 4.022 4.022 5.944
```

Output
crystal system	cubic
total magnetization	2.066	μB/f.u.

***

Material: CoPb2WO6
Method: DFT, GGA+U
State: optimized geometry

```
20
Lattice="4.951 0.000 2.875 -3.290 4.646 5.665 -1.687 -4.704 2.904" Properties=species:S:1:pos:R:3 pbc="T T T"
Co 1.632 -2.352 2.890
Co 3.306 2.323 5.708
Pb -0.018 -3.496 5.730
Pb 1.654 1.183 8.552
Pb 3.271 -1.240 5.767
Pb -0.008 3.439 5.714
W -0.026 -0.057 11.444
W -0.013 -0.029 5.722
O -0.899 0.809 7.248
O -0.886 0.837 1.526
O 0.861 -0.895 9.918
O 0.874 -0.867 4.195
O 2.363 -3.432 4.585
O -0.915 1.243 4.528
O -1.497 -1.301 5.530
O 0.177 3.374 8.349
O 0.889 -1.301 6.916
O -2.389 3.374 6.859
O -0.203 -3.432 3.095
O 1.471 1.243 5.914
```

Output
total magnetization	0.000	μB/f.u.

***

Material: SrPrCo2O6
Method: DFT, GGA+U
State: optimized geometry

```
20
Lattice="5.552 0.000 0.000 0.000 5.489 0.000 -5.436 0.000 7.554" Properties=species:S:1:pos:R:3 pbc="T T T"
Sr 0.000 1.307 0.000
Sr -2.718 4.182 3.777
Pr 0.007 1.488 3.764
Pr -2.711 4.001 7.541
Co -2.693 1.360 5.658
Co 0.025 4.129 1.881
Co 2.801 1.350 1.881
Co 0.083 4.140 5.658
O -4.070 2.663 5.889
O -1.352 2.826 2.112
O -1.187 0.085 2.136
O -3.905 5.404 5.913
O 1.307 2.733 1.648
O -1.411 2.756 5.425
O -1.243 0.148 5.400
O 1.475 5.341 1.623
O 3.036 1.407 0.024
O 0.318 4.082 3.801
O 2.466 1.363 3.739
O -0.252 4.126 7.516
```

Output
crystal system	monoclinic
total magnetization	5.000	μB/f.u.

***

Material: CoPt3O6
Method: DFT, GGA+U
State: optimized geometry

```
40
Lattice="-6.479 0.000 0.000 -3.240 -5.808 8.176 0.000 5.819 4.134" Properties=species:S:1:pos:R:3 pbc="T T T"
Co -3.240 2.909 2.067
Co -3.240 -2.904 4.088
Co -6.479 -2.904 4.088
Co 0.000 2.909 2.067
Pt -6.479 0.005 6.155
Pt -3.240 0.000 0.000
Pt -3.240 0.005 6.155
Pt 0.000 0.000 0.000
Pt -4.860 0.008 9.232
Pt -1.620 0.003 3.077
Pt -8.099 0.008 9.232
Pt -4.860 0.003 3.077
Pt -4.860 2.912 5.144
Pt -4.860 -2.901 7.165
Pt -1.620 2.912 5.144
Pt -8.099 -2.901 7.165
O -4.860 -3.754 5.284
O -1.620 2.060 3.263
O -8.099 -3.754 5.284
O -4.860 2.060 3.263
O -4.860 -2.054 2.892
O -4.860 -2.049 9.047
O -1.620 -2.054 2.892
O -8.099 -2.049 9.047
O -6.479 0.515 8.078
O -3.240 0.509 1.923
O -3.240 0.515 8.078
O -6.479 0.509 1.923
O -6.479 -0.504 4.232
O -6.479 -0.499 10.387
O -3.240 -0.504 4.232
O -3.240 -0.499 10.387
O -6.479 1.989 6.003
O -6.479 -3.824 8.024
O -3.240 1.989 6.003
O -3.240 -3.824 8.024
O -6.479 -1.978 6.307
O -3.240 3.835 4.286
O -3.240 -1.978 6.307
O -6.479 3.835 4.286
```

***

Material: Sm2CoPtO6
Method: DFT, GGA+U
State: optimized geometry

```
20
Lattice="5.427 0.000 0.000 0.000 5.840 0.000 -5.424 0.000 7.787" Properties=species:S:1:pos:R:3 pbc="T T T"
Sm -0.123 0.416 1.942
Sm -2.835 2.504 5.836
Sm 2.838 3.336 1.951
Sm 0.126 5.424 5.844
Co -2.712 0.000 3.893
Co 0.000 2.920 0.000
Pt 2.713 0.000 0.000
Pt 0.001 2.920 3.893
O -4.389 1.128 7.369
O -1.677 1.792 3.476
O -3.728 4.099 7.324
O -1.016 4.661 3.430
O -2.096 0.243 5.840
O 0.616 2.677 1.946
O -0.613 3.163 5.840
O 2.099 5.597 1.947
O 1.019 1.179 4.357
O 3.731 1.741 0.463
O 1.680 4.048 4.311
O 4.392 4.712 0.417
```

Output
crystal system	monoclinic
total magnetization	3.000	μB/f.u.

***

Calculated total energy: -28.39 -27.94 -27.88 -66.89 -64.53 -65.57 -59.49 -71.88 (eV per formula unit)